CsNa2 after structural relaxation. Source: Materials Project, functional PBE-GGA.

```
CsNa2
1.0
-7.606 0.313 -1.314
4.468 -4.645 -4.258
-1.832 -9.425 8.359
Na Cs
8 4
Direct
0.664 0.832 0.750
0.000 0.000 0.500
0.832 0.168 0.250
0.000 0.000 0.000
0.168 0.336 0.750
0.168 0.832 0.750
0.336 0.168 0.250
0.832 0.664 0.250
0.333 0.667 0.437
0.667 0.333 0.563
0.333 0.667 0.063
0.667 0.333 0.937
```

Values from the calculation:
Its crystal system is hexagonal. For the total energy, the calculation gives -1.151 eV/atom. The mass density is 1.8 g/cm³. The value obtained for the energy relative to the elements is 0.09 eV per formula unit. As for the space group: P6_3/mmc.

=====

PuAl3 after structural relaxation. Source: Materials Project, functional PBE-GGA.

```
PuAl3
1.0
4.186 0.000 0.000
0.000 4.186 0.000
0.000 0.000 4.186
Al Pu
3 1
Direct
0.500 0.500 0.000
0.500 0.000 0.500
0.000 0.500 0.500
0.000 0.000 0.000
```

Values from the calculation:
Its crystal system is cubic. For the total energy, the calculation gives -6.638 eV/atom. The mass density is 7.4 g/cm³. The value obtained for the energy relative to the elements is -1.05 eV per formula unit. As for the space group: Pm-3m.